1.
# K2NaFeF6

Crystalline K2NaFeF6 at its relaxed geometry (PBE with a Hubbard U, the Materials Project database).

a b c (Å): 5.980 5.980 5.980
angles (deg): 60.00 60.00 60.00
Positions (direct):
K (0.250, 0.250, 0.250)
K (0.750, 0.750, 0.750)
F (0.768, 0.232, 0.232)
F (0.768, 0.768, 0.232)
F (0.768, 0.232, 0.768)
F (0.232, 0.232, 0.768)
F (0.232, 0.768, 0.232)
F (0.232, 0.768, 0.768)
Fe (0.000, 0.000, 0.000)
Na (0.500, 0.500, 0.500)

Values from the calculation:
**Energy**: -48.0 eV/cell
**ΔH_f (0 K)**: -2.952 eV per atom

---

2.
# K2FeOF5

Crystalline K2FeOF5 at its relaxed geometry (PBE with a Hubbard U, the Materials Project database).

a b c (Å): 6.235 6.235 8.145
angles (deg): 84.26 84.26 79.58
Positions (direct):
F (0.620, 0.018, 0.194)
F (0.018, 0.620, 0.694)
F (0.982, 0.380, 0.306)
F (0.279, 0.868, 0.531)
F (0.721, 0.132, 0.469)
F (0.566, 0.434, 0.250)
F (0.132, 0.721, 0.969)
F (0.380, 0.982, 0.806)
F (0.434, 0.566, 0.750)
F (0.868, 0.279, 0.031)
K (0.707, 0.699, 0.465)
K (0.699, 0.707, 0.965)
K (0.293, 0.301, 0.535)
K (0.301, 0.293, 0.035)
Fe (0.813, 0.187, 0.250)
Fe (0.187, 0.813, 0.750)
O (0.019, 0.981, 0.250)
O (0.981, 0.019, 0.750)

Values from the calculation:
**Energy**: -81.2 eV/cell
**ΔH_f (0 K)**: -2.293 eV per atom

---

3.
# KFePO4F

Crystalline KFePO4F at its relaxed geometry (PBE with a Hubbard U, the Materials Project database).

a b c (Å): 6.447 10.804 13.052
angles (deg): 90.00 90.00 90.00
Positions (direct):
P (0.330, 0.248, 0.500)
P (0.502, 0.496, 0.817)
P (0.002, 0.996, 0.683)
P (0.670, 0.748, 0.500)
P (0.170, 0.248, 0.000)
P (0.998, 0.496, 0.317)
P (0.830, 0.748, 0.000)
P (0.498, 0.996, 0.183)
Fe (0.993, 0.999, 0.111)
Fe (0.493, 0.499, 0.389)
Fe (0.749, 0.749, 0.753)
Fe (0.251, 0.249, 0.247)
Fe (0.507, 0.999, 0.611)
Fe (0.249, 0.249, 0.747)
Fe (0.007, 0.499, 0.889)
Fe (0.751, 0.749, 0.253)
K (0.773, 0.203, 0.375)
K (0.803, 0.443, 0.605)
K (0.727, 0.203, 0.875)
K (0.697, 0.443, 0.105)
K (0.273, 0.703, 0.125)
K (0.197, 0.943, 0.395)
K (0.227, 0.703, 0.625)
K (0.303, 0.943, 0.895)
O (0.548, 0.607, 0.745)
O (0.310, 0.523, 0.885)
O (0.981, 0.859, 0.014)
O (0.036, 0.381, 0.247)
O (0.048, 0.107, 0.755)
O (0.536, 0.881, 0.253)
O (0.029, 0.131, 0.011)
O (0.964, 0.881, 0.753)
O (0.192, 0.969, 0.613)
O (0.194, 0.230, 0.403)
O (0.693, 0.767, 0.904)
O (0.692, 0.469, 0.887)
O (0.807, 0.767, 0.404)
O (0.971, 0.631, 0.989)
O (0.307, 0.267, 0.096)
O (0.481, 0.359, 0.486)
O (0.690, 0.023, 0.115)
O (0.452, 0.107, 0.255)
O (0.952, 0.607, 0.245)
O (0.810, 0.023, 0.615)
O (0.308, 0.969, 0.113)
O (0.694, 0.730, 0.097)
O (0.019, 0.359, 0.986)
O (0.306, 0.230, 0.903)
O (0.193, 0.267, 0.596)
O (0.471, 0.131, 0.511)
O (0.808, 0.469, 0.387)
O (0.190, 0.523, 0.385)
O (0.519, 0.859, 0.514)
O (0.464, 0.381, 0.747)
O (0.529, 0.631, 0.489)
O (0.806, 0.730, 0.597)
F (0.481, 0.369, 0.272)
F (0.526, 0.620, 0.270)
F (0.981, 0.869, 0.228)
F (0.026, 0.120, 0.230)
F (0.519, 0.869, 0.728)
F (0.974, 0.620, 0.770)
F (0.474, 0.120, 0.730)
F (0.019, 0.369, 0.772)

Values from the calculation:
**Energy**: -399.5 eV/cell
**ΔH_f (0 K)**: -2.339 eV per atom

---

4.
# KFe2P3O8F6

Crystalline KFe2P3O8F6 at its relaxed geometry (PBE with a Hubbard U, the Materials Project database).

a b c (Å): 7.351 7.718 10.589
angles (deg): 101.27 110.28 90.47
Positions (direct):
O (0.467, 0.250, 0.893)
O (0.860, 0.885, 0.297)
O (0.802, 0.889, 0.556)
O (0.885, 0.332, 0.265)
O (0.429, 0.928, 0.788)
O (0.206, 0.509, 0.943)
O (0.571, 0.072, 0.212)
O (0.575, 0.702, 0.613)
O (0.198, 0.111, 0.444)
O (0.140, 0.115, 0.703)
O (0.533, 0.750, 0.107)
O (0.734, 0.561, 0.441)
O (0.266, 0.439, 0.559)
O (0.425, 0.298, 0.387)
O (0.794, 0.491, 0.057)
O (0.115, 0.668, 0.735)
P (0.059, 0.579, 0.831)
P (0.342, 0.275, 0.496)
P (0.322, 0.089, 0.820)
P (0.678, 0.911, 0.180)
P (0.941, 0.421, 0.169)
P (0.658, 0.725, 0.504)
F (0.165, 0.795, 0.525)
F (0.520, 0.228, 0.619)
F (0.892, 0.430, 0.748)
F (0.108, 0.570, 0.252)
F (0.835, 0.205, 0.475)
F (0.943, 0.712, 0.901)
F (0.497, 0.586, 0.835)
F (0.057, 0.288, 0.099)
F (0.766, 0.950, 0.066)
F (0.503, 0.414, 0.165)
F (0.234, 0.050, 0.934)
F (0.480, 0.772, 0.381)
Fe (0.346, 0.682, 0.668)
Fe (0.500, 0.500, 0.000)
Fe (0.000, 0.000, 0.500)
Fe (0.654, 0.318, 0.332)
K (0.799, 0.073, 0.808)
K (0.201, 0.927, 0.192)

Values from the calculation:
**Energy**: -251.7 eV/cell
**ΔH_f (0 K)**: -2.663 eV per atom

---

Number 1: corrected total energy (MP2020 scheme) -53.03 eV/cell. Number 2: corrected total energy (MP2020 scheme) -91.70 eV/cell. Number 3: corrected total energy (MP2020 scheme) -443.27 eV/cell. Number 4: corrected total energy (MP2020 scheme) -277.26 eV/cell.